Record 1
# LaPr3

Crystalline LaPr3 at its relaxed geometry (r2SCAN, the Materials Project database).

It has space group I4/mmm (No. 139), with a = 5.291 Å, b = 5.291 Å, c = 10.514 Å, α = 90.00°, β = 90.00° and γ = 90.00°. The inequivalent atoms are La at (0.000, 0.000, 0.000), Pr at (0.000, 0.000, 0.500) and Pr at (0.000, 0.500, 0.250).

The calculation puts the formation energy at 0.03 eV/atom. Its crystal system is tetragonal.


Record 2
# LaPrZn2

Crystalline LaPrZn2 at its relaxed geometry (r2SCAN, the Materials Project database).

It has space group Fm-3m (No. 225), with a = 7.448 Å, b = 7.448 Å, c = 7.448 Å, α = 90.00°, β = 90.00° and γ = 90.00°. The inequivalent atoms are La at (0.000, 0.000, 0.000), Pr at (0.000, 0.000, 0.500) and Zn at (0.250, 0.250, 0.250).

The calculation puts the formation energy at -0.32 eV/atom. Its crystal system is cubic.


Record 3
# La3Pt4

Crystalline La3Pt4 at its relaxed geometry (r2SCAN, the Materials Project database).

It has space group R-3 (No. 148, hexagonal axes), with a = 13.9175 Å, b = 13.9175 Å, c = 5.8411 Å, α = 90.00°, β = 90.00° and γ = 120.00°. The inequivalent atoms are La at (0.0417, 0.8334, 0.2415), Pt at (0.0000, 0.0000, 0.0000), Pt at (0.0000, 0.0000, 0.5000) and Pt at (0.0544, 0.6093, 0.3870).

The calculation puts the formation energy at -1.26 eV/atom. Its crystal system is trigonal.


Record 4
# LaPt2

Crystalline LaPt2 at its relaxed geometry (r2SCAN, the Materials Project database).

It has space group Fd-3m (No. 227, origin choice 2), with a = 7.824 Å, b = 7.824 Å, c = 7.824 Å, α = 90.00°, β = 90.00° and γ = 90.00°. The inequivalent atoms are La at (0.125, 0.125, 0.125) and Pt at (0.000, 0.000, 0.500).

The calculation puts the formation energy at -1.18 eV/atom. Its crystal system is cubic.


Record 5
# La7Pt3

Crystalline La7Pt3 at its relaxed geometry (r2SCAN, the Materials Project database).

It has space group P6_3mc (No. 186), with a = 10.3427 Å, b = 10.3427 Å, c = 6.6220 Å, α = 90.00°, β = 90.00° and γ = 120.00°. The inequivalent atoms are La at (0.0728, 0.5364, 0.0000), La at (0.1265, 0.2531, 0.3088), La at (0.3333, 0.6667, 0.5289) and Pt at (0.1884, 0.3768, 0.7595).

The calculation puts the formation energy at -0.86 eV/atom. Its crystal system is hexagonal.


Record 6
# LaPt

Crystalline LaPt at its relaxed geometry (r2SCAN, the Materials Project database).

It has space group Cmcm (No. 63), with a = 3.985 Å, b = 11.166 Å, c = 4.546 Å, α = 90.00°, β = 90.00° and γ = 90.00°. The inequivalent atoms are La at (0.000, 0.136, 0.250) and Pt at (0.000, 0.409, 0.250).

The calculation puts the formation energy at -1.30 eV/atom. Its crystal system is orthorhombic.


Number 1: size of the total moment 0.00 μB/cell. Number 2: size of the total moment 0.00 μB/cell. Number 3: size of the total moment 0.00 μB/cell. Number 4: size of the total moment 0.00 μB/cell. Number 5: size of the total moment 0.00 μB/cell. Number 6: size of the total moment 0.00 μB/cell.